# 1
The following is a DFT calculation (PBE with a Hubbard U) of a geometry-optimized Fe2OF3 structure.

Lattice parameters (Å, degrees): 6.959 6.727 12.448 90.00 90.00 90.00
Space group Cmcm (No. 63)
Symmetry-distinct sites (fractional):
Fe  0.000  0.000  0.000 [4 per cell]
Fe  0.000  0.025  0.250 [4 per cell]
Fe  0.000  0.478  0.125 [8 per cell]
O  0.000  0.180  0.122 [8 per cell]
F  0.000  0.205  0.627 [8 per cell]
F  0.208  0.500  0.000 [8 per cell]
F  0.209  0.495  0.250 [8 per cell]

Calculated values
- Energy above the lowest structure with this stoichiometry: 34 meV/atom
- Total energy after the MP2020 corrections: -6.892 eV/atom
- Calculated total energy: -34.8 eV/f.u.
- Crystal system: orthorhombic
- Total magnetic moment: 72.00 μB per cell
- Energy relative to the elements: -2.287 eV per atom

---

# 2
The following is a DFT calculation (PBE with a Hubbard U) of a geometry-optimized Fe6O7F5 structure.

Lattice parameters (Å, degrees): 5.579 5.584 7.368 72.02 72.10 71.68
Space group P1 (No. 1)
Symmetry-distinct sites (fractional):
Fe  0.000  0.000  0.000 [1 per cell]
Fe  0.008  0.065  0.528 [1 per cell]
Fe  0.309  0.366  0.192 [1 per cell]
Fe  0.355  0.356  0.687 [1 per cell]
Fe  0.636  0.720  0.850 [1 per cell]
Fe  0.659  0.712  0.354 [1 per cell]
O  0.123  0.142  0.723 [1 per cell]
O  0.298  0.711  0.019 [1 per cell]
O  0.362  0.009  0.353 [1 per cell]
O  0.561  0.600  0.643 [1 per cell]
O  0.654  0.063  0.688 [1 per cell]
O  0.750  0.795  0.065 [1 per cell]
O  0.959  0.412  0.354 [1 per cell]
F  0.036  0.667  0.690 [1 per cell]
F  0.226  0.251  0.993 [1 per cell]
F  0.431  0.470  0.382 [1 per cell]
F  0.697  0.328  0.019 [1 per cell]
F  0.903  0.943  0.313 [1 per cell]

Calculated values
- Energy above the lowest structure with this stoichiometry: 18 meV/atom
- Total energy after the MP2020 corrections: -7.176 eV/atom
- Calculated total energy: -108.5 eV/f.u.
- Crystal system: triclinic
- Total magnetic moment: 29.00 μB per cell
- Energy relative to the elements: -1.897 eV per atom

---

# 3
The following is a DFT calculation (PBE with a Hubbard U) of a geometry-optimized Fe3O5F structure.

Lattice parameters (Å, degrees): 6.581 3.002 10.387 90.00 108.42 90.00
Space group Pm (No. 6)
Symmetry-distinct sites (fractional):
Fe  0.000  0.000  0.000 [1 per cell]
Fe  0.146  0.500  0.328 [1 per cell]
Fe  0.325  0.000  0.649 [1 per cell]
Fe  0.506  0.500  0.013 [1 per cell]
Fe  0.680  0.000  0.339 [1 per cell]
Fe  0.834  0.500  0.668 [1 per cell]
O  0.026  0.000  0.666 [1 per cell]
O  0.064  0.500  0.127 [1 per cell]
O  0.267  0.500  0.527 [1 per cell]
O  0.314  0.000  0.003 [1 per cell]
O  0.603  0.500  0.214 [1 per cell]
O  0.639  0.000  0.666 [1 per cell]
O  0.688  0.000  0.004 [1 per cell]
O  0.730  0.500  0.463 [1 per cell]
O  0.937  0.500  0.875 [1 per cell]
O  0.970  0.000  0.329 [1 per cell]
F  0.360  0.000  0.330 [1 per cell]
F  0.397  0.500  0.793 [1 per cell]

Calculated values
- Energy above the lowest structure with this stoichiometry: 10 meV/atom
- Total energy after the MP2020 corrections: -7.305 eV/atom
- Calculated total energy: -55.1 eV/f.u.
- Crystal system: monoclinic
- Total magnetic moment: 26.01 μB per cell
- Energy relative to the elements: -1.520 eV per atom

---

# 4
The following is a DFT calculation (PBE with a Hubbard U) of a geometry-optimized Fe5O8F2 structure.

Lattice parameters (Å, degrees): 4.657 4.657 15.069 89.60 89.60 88.39
Space group P1 (No. 1)
Symmetry-distinct sites (fractional):
Fe  0.000  0.000  0.000 [1 per cell]
Fe  0.003  0.007  0.798 [1 per cell]
Fe  0.010  0.010  0.205 [1 per cell]
Fe  0.015  0.020  0.409 [1 per cell]
Fe  0.032  0.991  0.603 [1 per cell]
Fe  0.485  0.487  0.303 [1 per cell]
Fe  0.503  0.513  0.707 [1 per cell]
Fe  0.509  0.520  0.499 [1 per cell]
Fe  0.532  0.533  0.903 [1 per cell]
Fe  0.535  0.534  0.103 [1 per cell]
O  0.188  0.192  0.304 [1 per cell]
O  0.203  0.196  0.701 [1 per cell]
O  0.210  0.201  0.508 [1 per cell]
O  0.309  0.701  0.400 [1 per cell]
O  0.313  0.704  0.204 [1 per cell]
O  0.319  0.709  0.807 [1 per cell]
O  0.326  0.714  0.001 [1 per cell]
O  0.332  0.691  0.603 [1 per cell]
O  0.698  0.316  0.402 [1 per cell]
O  0.704  0.314  0.204 [1 per cell]
O  0.704  0.322  0.805 [1 per cell]
O  0.714  0.327  0.001 [1 per cell]
O  0.822  0.812  0.698 [1 per cell]
O  0.825  0.819  0.506 [1 per cell]
O  0.826  0.830  0.898 [1 per cell]
O  0.830  0.830  0.105 [1 per cell]
F  0.211  0.214  0.901 [1 per cell]
F  0.215  0.214  0.101 [1 per cell]
F  0.713  0.310  0.603 [1 per cell]
F  0.804  0.809  0.306 [1 per cell]

Calculated values
- Energy above the lowest structure with this stoichiometry: 9 meV/atom
- Total energy after the MP2020 corrections: -7.291 eV/atom
- Calculated total energy: -91.7 eV/f.u.
- Crystal system: triclinic
- Total magnetic moment: 44.00 μB per cell
- Energy relative to the elements: -1.574 eV per atom

---

# 5
The following is a DFT calculation (PBE with a Hubbard U) of a geometry-optimized Fe2OF3 structure.

Lattice parameters (Å, degrees): 9.326 6.790 9.307 90.00 96.52 90.00
Space group C2 (No. 5)
Symmetry-distinct sites (fractional):
Fe  0.000  0.000  0.000 [2 per cell]
Fe  0.000  0.457  0.500 [2 per cell]
Fe  0.124  0.989  0.624 [4 per cell]
Fe  0.126  0.465  0.126 [4 per cell]
Fe  0.247  0.942  0.249 [4 per cell]
O  0.000  0.154  0.500 [2 per cell]
O  0.000  0.295  0.000 [2 per cell]
O  0.246  0.642  0.246 [4 per cell]
F  0.000  0.677  0.000 [2 per cell]
F  0.000  0.773  0.500 [2 per cell]
F  0.022  0.958  0.229 [4 per cell]
F  0.025  0.470  0.726 [4 per cell]
F  0.229  0.460  0.523 [4 per cell]
F  0.229  0.967  0.023 [4 per cell]
F  0.249  0.263  0.251 [4 per cell]

Calculated values
- Energy above the lowest structure with this stoichiometry: 36 meV/atom
- Total energy after the MP2020 corrections: -6.890 eV/atom
- Calculated total energy: -34.8 eV/f.u.
- Crystal system: monoclinic
- Total magnetic moment: 72.00 μB per cell
- Energy relative to the elements: -2.285 eV per atom

---

# 6
The following is a DFT calculation (PBE with a Hubbard U) of a geometry-optimized Fe5O2F8 structure.

Lattice parameters (Å, degrees): 4.848 7.968 10.133 71.10 88.10 89.11
Space group P1 (No. 1)
Symmetry-distinct sites (fractional):
Fe  0.000  0.000  0.000 [1 per cell]
Fe  0.001  0.584  0.205 [1 per cell]
Fe  0.013  0.789  0.589 [1 per cell]
Fe  0.016  0.188  0.391 [1 per cell]
Fe  0.487  0.893  0.305 [1 per cell]
Fe  0.506  0.097  0.695 [1 per cell]
Fe  0.529  0.284  0.087 [1 per cell]
Fe  0.531  0.688  0.886 [1 per cell]
Fe  0.539  0.483  0.480 [1 per cell]
Fe  0.980  0.401  0.802 [1 per cell]
O  0.189  0.951  0.430 [1 per cell]
O  0.816  0.638  0.767 [1 per cell]
O  0.821  0.241  0.962 [1 per cell]
O  0.833  0.404  0.374 [1 per cell]
F  0.211  0.553  0.616 [1 per cell]
F  0.212  0.173  0.806 [1 per cell]
F  0.212  0.749  0.012 [1 per cell]
F  0.224  0.336  0.212 [1 per cell]
F  0.306  0.245  0.514 [1 per cell]
F  0.308  0.842  0.724 [1 per cell]
F  0.310  0.470  0.903 [1 per cell]
F  0.319  0.045  0.114 [1 per cell]
F  0.319  0.649  0.316 [1 per cell]
F  0.694  0.918  0.877 [1 per cell]
F  0.696  0.547  0.061 [1 per cell]
F  0.720  0.727  0.480 [1 per cell]
F  0.723  0.126  0.277 [1 per cell]
F  0.725  0.334  0.674 [1 per cell]
F  0.803  0.829  0.180 [1 per cell]
F  0.808  0.024  0.580 [1 per cell]

Calculated values
- Energy above the lowest structure with this stoichiometry: 8 meV/atom
- Total energy after the MP2020 corrections: -6.828 eV/atom
- Calculated total energy: -86.1 eV/f.u.
- Crystal system: triclinic
- Total magnetic moment: 44.00 μB per cell
- Energy relative to the elements: -2.324 eV per atom

---

# 7
The following is a DFT calculation (PBE with a Hubbard U) of a geometry-optimized Fe5O8F2 structure.

Lattice parameters (Å, degrees): 4.666 5.567 12.898 101.93 90.37 91.73
Space group P1 (No. 1)
Symmetry-distinct sites (fractional):
Fe  0.000  0.000  0.000 [1 per cell]
Fe  0.002  0.384  0.607 [1 per cell]
Fe  0.017  0.206  0.808 [1 per cell]
Fe  0.463  0.903  0.603 [1 per cell]
Fe  0.494  0.684  0.805 [1 per cell]
Fe  0.496  0.097  0.405 [1 per cell]
Fe  0.517  0.279  0.199 [1 per cell]
Fe  0.525  0.484  0.003 [1 per cell]
Fe  0.978  0.814  0.209 [1 per cell]
Fe  0.994  0.591  0.405 [1 per cell]
O  0.176  0.349  0.469 [1 per cell]
O  0.189  0.940  0.862 [1 per cell]
O  0.192  0.138  0.673 [1 per cell]
O  0.295  0.838  0.462 [1 per cell]
O  0.299  0.640  0.666 [1 per cell]
O  0.304  0.044  0.266 [1 per cell]
O  0.316  0.237  0.063 [1 per cell]
O  0.317  0.444  0.874 [1 per cell]
O  0.683  0.153  0.543 [1 per cell]
O  0.694  0.351  0.342 [1 per cell]
O  0.697  0.548  0.142 [1 per cell]
O  0.699  0.748  0.945 [1 per cell]
O  0.803  0.840  0.345 [1 per cell]
O  0.812  0.442  0.745 [1 per cell]
O  0.815  0.247  0.936 [1 per cell]
O  0.817  0.050  0.137 [1 per cell]
F  0.196  0.538  0.261 [1 per cell]
F  0.202  0.738  0.068 [1 per cell]
F  0.694  0.947  0.741 [1 per cell]
F  0.791  0.660  0.548 [1 per cell]

Calculated values
- Energy above the lowest structure with this stoichiometry: 12 meV/atom
- Total energy after the MP2020 corrections: -7.289 eV/atom
- Calculated total energy: -91.6 eV/f.u.
- Crystal system: triclinic
- Total magnetic moment: 44.01 μB per cell
- Energy relative to the elements: -1.571 eV per atom

---

# 8
The following is a DFT calculation (PBE with a Hubbard U) of a geometry-optimized Fe2O3F structure.

Lattice parameters (Å, degrees): 15.008 6.387 6.879 90.00 90.00 90.00
Space group Amm2 (No. 38)
Symmetry-distinct sites (fractional):
Fe  0.000  0.000  0.000 [2 per cell]
Fe  0.100  0.000  0.467 [4 per cell]
Fe  0.200  0.000  0.933 [4 per cell]
Fe  0.300  0.000  0.465 [4 per cell]
Fe  0.400  0.000  0.994 [4 per cell]
Fe  0.500  0.000  0.455 [2 per cell]
O  0.000  0.000  0.289 [2 per cell]
O  0.100  0.193  0.967 [8 per cell]
O  0.201  0.000  0.643 [4 per cell]
O  0.300  0.193  0.963 [8 per cell]
O  0.397  0.000  0.284 [4 per cell]
O  0.500  0.193  0.977 [4 per cell]
F  0.000  0.000  0.669 [2 per cell]
F  0.200  0.000  0.264 [4 per cell]
F  0.402  0.000  0.665 [4 per cell]

Calculated values
- Energy above the lowest structure with this stoichiometry: 8 meV/atom
- Total energy after the MP2020 corrections: -7.282 eV/atom
- Calculated total energy: -36.7 eV/f.u.
- Crystal system: orthorhombic
- Total magnetic moment: 90.00 μB per cell
- Energy relative to the elements: -1.666 eV per atom